Entry 1:
The following is a GGA-PBE calculation of a relaxed structure of Na3Ca2Ti2P3S3O24, from the Materials Project.

Calculated values
- Density: 2.55 g/cm3
- ΔH_f (0 K): -2.701 eV per atom
- M_tot: 0.00 μB per cell
- Calculated total energy: -763.83 eV for the cell shown

abc: 8.884 8.917 23.208
angles: 90.06 90.12 119.75
Space group P1 (No. 1)
Inequivalent atoms, fractional coordinates:
Na1 0.000 0.000 0.000 [1 per cell]
Na2 0.005 0.016 0.501 [1 per cell]
Na3 0.317 0.653 0.166 [1 per cell]
Na4 0.327 0.655 0.665 [1 per cell]
Na5 0.367 0.004 0.751 [1 per cell]
Na6 0.628 0.003 0.251 [1 per cell]
Na7 0.657 0.332 0.337 [1 per cell]
Na8 0.674 0.345 0.838 [1 per cell]
Na9 0.689 0.668 0.420 [1 per cell]
Ca1 0.008 0.015 0.360 [1 per cell]
Ca2 0.324 0.659 0.319 [1 per cell]
Ca3 0.330 0.664 0.819 [1 per cell]
Ca4 0.664 0.342 0.178 [1 per cell]
Ca5 0.669 0.341 0.679 [1 per cell]
Ca6 0.997 0.001 0.861 [1 per cell]
Ti1 0.002 0.002 0.140 [1 per cell]
Ti2 0.329 0.678 0.021 [1 per cell]
Ti3 0.337 0.667 0.521 [1 per cell]
Ti4 0.653 0.317 0.491 [1 per cell]
Ti5 0.654 0.325 0.991 [1 per cell]
Ti6 0.992 0.002 0.641 [1 per cell]
P1 0.343 0.378 0.426 [1 per cell]
P2 0.343 0.971 0.923 [1 per cell]
P3 0.360 0.028 0.586 [1 per cell]
P4 0.362 0.340 0.083 [1 per cell]
P5 0.616 0.966 0.422 [1 per cell]
P6 0.661 0.032 0.086 [1 per cell]
P7 0.663 0.634 0.583 [1 per cell]
P8 0.962 0.632 0.083 [1 per cell]
P9 0.966 0.340 0.584 [1 per cell]
S1 0.026 0.653 0.425 [1 per cell]
S2 0.027 0.381 0.925 [1 per cell]
S3 0.280 0.286 0.747 [1 per cell]
S4 0.284 0.000 0.247 [1 per cell]
S5 0.617 0.653 0.926 [1 per cell]
S6 0.709 0.000 0.748 [1 per cell]
S7 0.712 0.716 0.250 [1 per cell]
S8 0.996 0.716 0.748 [1 per cell]
S9 0.997 0.287 0.246 [1 per cell]
O1 0.002 0.807 0.423 [1 per cell]
O2 0.004 0.187 0.195 [1 per cell]
O3 0.006 0.824 0.697 [1 per cell]
O4 0.011 0.208 0.925 [1 per cell]
O5 0.092 0.470 0.870 [1 per cell]
O6 0.093 0.630 0.370 [1 per cell]
O7 0.140 0.672 0.474 [1 per cell]
O8 0.145 0.480 0.974 [1 per cell]
O9 0.149 0.489 0.568 [1 per cell]
O10 0.149 0.667 0.068 [1 per cell]
O11 0.154 0.458 0.246 [1 per cell]
O12 0.162 0.711 0.748 [1 per cell]
O13 0.174 0.187 0.695 [1 per cell]
O14 0.178 0.018 0.591 [1 per cell]
O15 0.180 0.168 0.091 [1 per cell]
O16 0.180 0.986 0.927 [1 per cell]
O17 0.180 0.996 0.195 [1 per cell]
O18 0.182 0.201 0.427 [1 per cell]
O19 0.201 0.191 0.801 [1 per cell]
O20 0.204 0.011 0.300 [1 per cell]
O21 0.295 0.458 0.747 [1 per cell]
O22 0.300 0.841 0.245 [1 per cell]
O23 0.329 0.489 0.067 [1 per cell]
O24 0.329 0.489 0.475 [1 per cell]
O25 0.330 0.848 0.569 [1 per cell]
O26 0.332 0.841 0.971 [1 per cell]
O27 0.374 0.913 0.864 [1 per cell]
O28 0.385 0.480 0.370 [1 per cell]
O29 0.453 0.299 0.744 [1 per cell]
O30 0.458 0.086 0.642 [1 per cell]
O31 0.460 0.305 0.033 [1 per cell]
O32 0.462 0.153 0.245 [1 per cell]
O33 0.463 0.161 0.536 [1 per cell]
O34 0.463 0.382 0.139 [1 per cell]
O35 0.501 0.838 0.471 [1 per cell]
O36 0.508 0.151 0.937 [1 per cell]
O37 0.509 0.849 0.069 [1 per cell]
O38 0.510 0.363 0.438 [1 per cell]
O39 0.510 0.670 0.570 [1 per cell]
O40 0.516 0.668 0.974 [1 per cell]
O41 0.527 0.626 0.870 [1 per cell]
O42 0.528 0.912 0.363 [1 per cell]
O43 0.534 0.841 0.746 [1 per cell]
O44 0.541 0.711 0.247 [1 per cell]
O45 0.619 0.086 0.142 [1 per cell]
O46 0.619 0.532 0.638 [1 per cell]
O47 0.637 0.496 0.934 [1 per cell]
O48 0.639 0.149 0.437 [1 per cell]
O49 0.682 0.152 0.746 [1 per cell]
O50 0.688 0.541 0.246 [1 per cell]
O51 0.691 0.164 0.036 [1 per cell]
O52 0.697 0.546 0.531 [1 per cell]
O53 0.789 0.810 0.926 [1 per cell]
O54 0.790 0.969 0.425 [1 per cell]
O55 0.799 0.794 0.305 [1 per cell]
O56 0.801 0.012 0.801 [1 per cell]
O57 0.807 0.995 0.696 [1 per cell]
O58 0.813 0.826 0.199 [1 per cell]
O59 0.829 0.819 0.592 [1 per cell]
O60 0.830 0.017 0.091 [1 per cell]
O61 0.833 0.537 0.033 [1 per cell]
O62 0.835 0.305 0.533 [1 per cell]
O63 0.836 0.299 0.243 [1 per cell]
O64 0.845 0.541 0.746 [1 per cell]
O65 0.848 0.498 0.432 [1 per cell]
O66 0.852 0.363 0.934 [1 per cell]
O67 0.909 0.381 0.639 [1 per cell]
O68 0.910 0.534 0.139 [1 per cell]
O69 0.979 0.169 0.591 [1 per cell]
O70 0.980 0.817 0.092 [1 per cell]
O71 0.981 0.192 0.300 [1 per cell]
O72 0.986 0.798 0.802 [1 per cell]

=====

Entry 2:
The following is a GGA-PBE calculation of a relaxed structure of NaCaTi3P3S3O24, from the Materials Project.

Calculated values
- Density: 2.60 g/cm3
- ΔH_f (0 K): -2.700 eV per atom
- M_tot: 0.00 μB per cell
- Calculated total energy: -757.24 eV for the cell shown

abc: 8.733 8.737 22.640
angles: 90.04 90.25 119.95
Space group P1 (No. 1)
Inequivalent atoms, fractional coordinates:
Na1 0.000 0.000 0.000 [1 per cell]
Na2 0.013 0.017 0.499 [1 per cell]
Na3 0.341 0.683 0.168 [1 per cell]
Ca1 0.001 0.004 0.148 [1 per cell]
Ca2 0.008 0.016 0.645 [1 per cell]
Ca3 0.339 0.681 0.018 [1 per cell]
Ti1 0.325 0.678 0.817 [1 per cell]
Ti2 0.335 0.681 0.319 [1 per cell]
Ti3 0.337 0.667 0.520 [1 per cell]
Ti4 0.663 0.340 0.471 [1 per cell]
Ti5 0.671 0.345 0.687 [1 per cell]
Ti6 0.675 0.342 0.196 [1 per cell]
Ti7 0.677 0.343 0.972 [1 per cell]
Ti8 0.990 0.999 0.353 [1 per cell]
Ti9 0.992 0.011 0.848 [1 per cell]
P1 0.006 0.311 0.749 [1 per cell]
P2 0.009 0.715 0.252 [1 per cell]
P3 0.040 0.686 0.916 [1 per cell]
P4 0.051 0.385 0.417 [1 per cell]
P5 0.328 0.958 0.419 [1 per cell]
P6 0.397 0.351 0.578 [1 per cell]
P7 0.624 0.679 0.417 [1 per cell]
P8 0.634 0.969 0.916 [1 per cell]
P9 0.702 0.001 0.251 [1 per cell]
S1 0.300 0.310 0.252 [1 per cell]
S2 0.304 0.010 0.751 [1 per cell]
S3 0.333 0.373 0.914 [1 per cell]
S4 0.398 0.071 0.083 [1 per cell]
S5 0.658 0.056 0.579 [1 per cell]
S6 0.669 0.614 0.083 [1 per cell]
S7 0.699 0.709 0.750 [1 per cell]
S8 0.946 0.342 0.083 [1 per cell]
S9 0.956 0.616 0.579 [1 per cell]
O1 0.008 0.839 0.898 [1 per cell]
O2 0.032 0.201 0.408 [1 per cell]
O3 0.056 0.251 0.694 [1 per cell]
O4 0.059 0.821 0.196 [1 per cell]
O5 0.119 0.504 0.086 [1 per cell]
O6 0.131 0.628 0.575 [1 per cell]
O7 0.137 0.652 0.864 [1 per cell]
O8 0.139 0.504 0.364 [1 per cell]
O9 0.146 0.733 0.972 [1 per cell]
O10 0.159 0.677 0.267 [1 per cell]
O11 0.160 0.493 0.769 [1 per cell]
O12 0.167 0.982 0.408 [1 per cell]
O13 0.173 0.472 0.473 [1 per cell]
O14 0.183 0.191 0.901 [1 per cell]
O15 0.198 0.247 0.198 [1 per cell]
O16 0.199 0.964 0.697 [1 per cell]
O17 0.213 0.191 0.303 [1 per cell]
O18 0.216 0.042 0.801 [1 per cell]
O19 0.216 0.189 0.579 [1 per cell]
O20 0.225 0.060 0.080 [1 per cell]
O21 0.289 0.432 0.968 [1 per cell]
O22 0.298 0.839 0.473 [1 per cell]
O23 0.332 0.491 0.263 [1 per cell]
O24 0.333 0.859 0.765 [1 per cell]
O25 0.362 0.874 0.364 [1 per cell]
O26 0.363 0.493 0.864 [1 per cell]
O27 0.385 0.897 0.086 [1 per cell]
O28 0.388 0.524 0.571 [1 per cell]
O29 0.478 0.325 0.245 [1 per cell]
O30 0.481 0.170 0.742 [1 per cell]
O31 0.492 0.168 0.138 [1 per cell]
O32 0.492 0.884 0.574 [1 per cell]
O33 0.494 0.357 0.921 [1 per cell]
O34 0.495 0.163 0.028 [1 per cell]
O35 0.496 0.142 0.427 [1 per cell]
O36 0.499 0.338 0.525 [1 per cell]
O37 0.506 0.368 0.636 [1 per cell]
O38 0.506 0.872 0.864 [1 per cell]
O39 0.507 0.624 0.085 [1 per cell]
O40 0.507 0.648 0.363 [1 per cell]
O41 0.515 0.848 0.266 [1 per cell]
O42 0.523 0.679 0.766 [1 per cell]
O43 0.540 0.713 0.472 [1 per cell]
O44 0.584 0.865 0.972 [1 per cell]
O45 0.645 0.143 0.635 [1 per cell]
O46 0.649 0.517 0.426 [1 per cell]
O47 0.652 0.155 0.924 [1 per cell]
O48 0.666 0.517 0.028 [1 per cell]
O49 0.675 0.521 0.137 [1 per cell]
O50 0.680 0.166 0.527 [1 per cell]
O51 0.688 0.173 0.243 [1 per cell]
O52 0.689 0.534 0.743 [1 per cell]
O53 0.764 0.814 0.697 [1 per cell]
O54 0.764 0.958 0.195 [1 per cell]
O55 0.810 0.845 0.409 [1 per cell]
O56 0.812 0.032 0.581 [1 per cell]
O57 0.824 0.005 0.899 [1 per cell]
O58 0.825 0.799 0.801 [1 per cell]
O59 0.830 0.787 0.079 [1 per cell]
O60 0.832 0.035 0.305 [1 per cell]
O61 0.837 0.327 0.738 [1 per cell]
O62 0.838 0.531 0.243 [1 per cell]
O63 0.848 0.525 0.527 [1 per cell]
O64 0.850 0.341 0.138 [1 per cell]
O65 0.852 0.345 0.028 [1 per cell]
O66 0.856 0.515 0.923 [1 per cell]
O67 0.868 0.365 0.428 [1 per cell]
O68 0.873 0.515 0.635 [1 per cell]
O69 0.958 0.181 0.080 [1 per cell]
O70 0.971 0.178 0.801 [1 per cell]
O71 0.974 0.791 0.582 [1 per cell]
O72 0.977 0.814 0.304 [1 per cell]